Na14Zn5Si6Ge3S6O48 (PBE, optimized geometry); calculated total energy = -5.8897 eV/atom; space-group type = P1; calculated formation energy = -2.224 eV/atom
1.0
-7.7746 7.1428 -14.7506
-5.0406 -2.4236 7.0413
2.1902 20.1845 8.3797
Ge Na O Si S Zn
9 42 144 18 18 15
direct
0.0006 0.0097 0.6508
0.1867 0.6889 0.3101
0.6834 0.6792 0.3080
0.6801 0.6839 0.8102
0.0115 0.9965 0.1580
0.5071 0.9608 0.1497
0.3191 0.3103 0.9911
0.5105 0.0303 0.6591
0.1801 0.6879 0.8105
0.9892 0.6782 0.9169
0.8237 0.9617 0.5906
0.4871 0.6715 0.9216
0.6644 0.6671 0.1629
0.1605 0.6644 0.6660
0.6918 0.0234 0.7487
0.6487 0.9594 0.0734
0.3207 0.6353 0.7471
0.1889 0.0212 0.7480
0.1853 0.6770 0.1627
0.1940 0.3654 0.2494
0.8227 0.6798 0.0896
0.0039 0.9995 0.5001
0.3273 0.3266 0.3256
0.6691 0.6680 0.6634
0.4968 0.9942 0.9989
0.4886 0.3048 0.4180
0.6880 0.3598 0.2482
0.1641 0.0522 0.4148
0.1543 0.9723 0.0799
0.8496 0.0366 0.9084
0.6619 0.3476 0.5794
0.0159 0.3364 0.0818
0.5114 0.0162 0.4977
0.3370 0.3117 0.8305
0.9845 0.2977 0.4211
0.1637 0.2843 0.9096
0.8235 0.3239 0.3288
0.0107 0.6930 0.5801
0.0065 0.0031 0.9968
0.3240 0.9688 0.5904
0.6658 0.0520 0.4152
0.8313 0.3197 0.8263
0.5148 0.6929 0.5823
0.6630 0.2775 0.9150
0.5175 0.3448 0.0895
0.3531 0.6629 0.4070
0.1520 0.3292 0.5773
0.8206 0.6340 0.7381
0.9969 0.6378 0.2523
0.8518 0.6618 0.4156
0.4945 0.6273 0.2443
0.6784 0.8502 0.8531
0.9883 0.1980 0.3055
0.3237 0.1376 0.4186
0.8540 0.1449 0.0257
0.6478 0.4591 0.4758
0.1536 0.4998 0.7610
0.0869 0.9821 0.9136
0.7087 0.1466 0.5246
0.4884 0.7758 0.8064
0.2312 0.3580 0.1486
0.0854 0.0202 0.5961
0.4098 0.8498 0.1922
0.0835 0.2071 0.6914
0.9844 0.8054 0.0877
0.8415 0.1662 0.7463
0.0672 0.4914 0.8638
0.2591 0.6368 0.8586
0.7559 0.8777 0.3601
0.1792 0.5135 0.3541
0.7718 0.6846 0.9719
0.5644 0.4743 0.5821
0.4086 0.8060 0.3151
0.9176 0.0246 0.0866
0.9868 0.1664 0.5878
0.5783 0.1436 0.0991
0.2594 0.6512 0.5813
0.8488 0.5289 0.2458
0.9362 0.3489 0.6367
0.9041 0.0100 0.8161
0.1145 0.0382 0.3126
0.7548 0.6610 0.5825
0.9270 0.8401 0.5946
0.8263 0.5192 0.6439
0.3973 0.9758 0.4113
0.5868 0.9407 0.1929
0.6535 0.4999 0.7629
0.0812 0.1408 0.0947
0.4284 0.3013 0.5266
0.5606 0.6422 0.3625
0.5787 0.9680 0.9126
0.5143 0.2123 0.1976
0.4316 0.3653 0.9196
0.7367 0.1005 0.6441
0.2210 0.2803 0.0269
0.4075 0.5119 0.0207
0.2726 0.8621 0.4725
0.5619 0.4876 0.8638
0.0657 0.6488 0.3603
0.4820 0.1616 0.5895
0.5061 0.8121 0.4165
0.6497 0.8006 0.2612
0.0691 0.4532 0.9743
0.4079 0.9987 0.8110
0.7456 0.1533 0.2437
0.7088 0.2687 0.0248
0.5840 0.4740 0.2527
0.7445 0.3413 0.7486
0.3423 0.1627 0.7478
0.2425 0.1016 0.6417
0.4149 0.8115 0.5855
0.5778 0.1868 0.4101
0.1611 0.4876 0.0753
0.6113 0.1827 0.8143
0.3999 0.8078 0.9111
0.5685 0.6522 0.0785
0.8326 0.1363 0.1360
0.4325 0.4989 0.4219
0.7534 0.1410 0.9123
0.2602 0.6967 0.2524
0.0671 0.6587 0.0824
0.4048 0.9657 0.6888
0.1532 0.4647 0.4775
0.3498 0.5566 0.5271
0.4268 0.5377 0.7388
0.3302 0.5336 0.6380
0.7627 0.8702 0.0809
0.3466 0.5314 0.2491
0.9909 0.7806 0.8086
0.9300 0.5497 0.0280
0.4335 0.3519 0.6363
0.9043 0.9665 0.6941
0.7600 0.6920 0.2507
0.9003 0.8212 0.9132
0.4813 0.8102 0.0860
0.0086 0.2037 0.9135
0.2521 0.3677 0.4129
0.0678 0.4789 0.5825
0.6669 0.4944 0.0770
0.6145 0.0343 0.3132
0.9298 0.3232 0.2395
0.7510 0.3657 0.4138
0.3469 0.1536 0.0262
0.0782 0.1905 0.4112
0.4337 0.4954 0.1430
0.6568 0.8461 0.9760
0.5649 0.4447 0.9739
0.8649 0.5773 0.5238
0.0694 0.6874 0.4714
0.6592 0.8323 0.5766
0.2562 0.8810 0.3619
0.0194 0.8213 0.6977
0.7731 0.8636 0.4710
0.6798 0.5105 0.3533
0.7593 0.8222 0.7531
0.9312 0.5353 0.7440
0.0827 0.4663 0.2500
0.9376 0.5243 0.1387
0.9082 0.8436 0.1887
0.5058 0.1995 0.9124
0.8974 0.9750 0.4096
0.2132 0.1431 0.5226
0.7606 0.6400 0.8607
0.2715 0.6801 0.9700
0.5827 0.6977 0.7504
0.4928 0.2044 0.3090
0.2593 0.8221 0.7518
0.4138 0.0362 0.0838
0.8237 0.1370 0.4170
0.4289 0.3244 0.2475
0.3158 0.4973 0.9166
0.3204 0.1221 0.1368
0.9327 0.3065 0.5263
0.0165 0.2058 0.1943
0.7403 0.3753 0.1430
0.5892 0.2241 0.6939
0.1828 0.8626 0.8561
0.9357 0.5001 0.4166
0.1146 0.1860 0.8117
0.2434 0.3428 0.7410
0.0075 0.8139 0.4131
0.5173 0.8268 0.6956
0.5778 0.0181 0.5976
0.0872 0.7030 0.7549
0.1507 0.8038 0.2608
0.9111 0.8035 0.3126
0.1536 0.8430 0.9800
0.0858 0.9462 0.1937
0.5696 0.6830 0.4736
0.2472 0.1577 0.2426
0.2595 0.1616 0.9263
0.1638 0.8299 0.5768
0.2576 0.8699 0.0769
0.9358 0.3693 0.9198
0.8235 0.5105 0.9190
0.1704 0.9583 0.9202
0.1646 0.3807 0.4154
0.8587 0.7186 0.2518
0.6522 0.9909 0.2540
0.6762 0.0266 0.5859
0.8590 0.0095 0.7534
0.1806 0.3337 0.0879
0.3598 0.0050 0.7529
0.6645 0.9522 0.9154
0.3599 0.7232 0.2526
0.6488 0.3076 0.7572
0.8398 0.6421 0.5870
0.1460 0.3040 0.7516
0.6634 0.3778 0.4148
0.4708 0.6129 0.0840
0.6768 0.3252 0.0861
0.1547 0.9968 0.2542
0.1790 0.0258 0.5846
0.0044 0.7060 0.7521
0.0208 0.3807 0.9173
0.5163 0.3725 0.9168
0.3131 0.6627 0.9156
0.5017 0.2971 0.2517
0.3342 0.0429 0.0841
0.8401 0.0443 0.0837
0.3375 0.6356 0.5838
0.4763 0.3260 0.5842
0.0017 0.2953 0.2494
0.8141 0.6659 0.9176
0.9789 0.6292 0.0844
0.9790 0.3287 0.5841
0.5023 0.7063 0.7499
0.3137 0.9632 0.4173
0.5187 0.6602 0.4186
0.0196 0.6618 0.4152
0.8132 0.9625 0.4153
0.3270 0.3451 0.1840
0.5048 0.0123 0.8483
0.8088 0.2902 0.9849
0.8085 0.3477 0.4916
0.5092 0.0087 0.3429
0.8202 0.3306 0.1854
0.0065 0.0147 0.8420
0.0086 0.0071 0.3451
0.6726 0.6659 0.5198
0.6547 0.6567 0.0186
0.1713 0.6665 0.0155
0.1627 0.6657 0.5152
0.3130 0.3270 0.4833
0.3233 0.3049 0.6863
0.8209 0.3164 0.6825